{
  "formula": "K3Ga3As4",
  "functional": "r²SCAN",
  "state": "optimized geometry",
  "lattice": [[-1.410, -6.469, -0.519], [10.444, -2.304, 0.346], [-0.725, -1.043, 14.959]],
  "species": ["As", "Ga", "Ga", "K", "As", "K", "As", "K", "As", "As", "As", "Ga", "As", "As", "K", "K", "K", "Ga", "As", "Ga", "Ga", "As", "Ga", "K", "As", "Ga", "Ga", "As", "K", "K", "As", "As", "K", "As", "K", "K", "Ga", "As", "Ga", "Ga"],
  "frac_coords": [[0.460, 0.405, 0.176], [0.692, 0.250, 0.250], [0.902, 0.611, 0.783], [0.439, 0.380, 0.406], [0.040, 0.095, 0.676], [0.561, 0.620, 0.594], [0.041, 0.806, 0.863], [0.061, 0.380, 0.594], [0.460, 0.095, 0.324], [0.541, 0.194, 0.863], [0.459, 0.806, 0.137], [0.098, 0.389, 0.217], [0.959, 0.306, 0.363], [0.459, 0.694, 0.363], [0.939, 0.880, 0.094], [0.561, 0.880, 0.906], [0.750, 0.080, 0.500], [0.808, 0.250, 0.750], [0.040, 0.405, 0.824], [0.598, 0.611, 0.217], [0.308, 0.750, 0.750], [0.960, 0.905, 0.324], [0.098, 0.111, 0.283], [0.061, 0.120, 0.906], [0.540, 0.595, 0.824], [0.402, 0.389, 0.783], [0.192, 0.750, 0.250], [0.540, 0.905, 0.676], [0.939, 0.620, 0.406], [0.250, 0.580, 0.000], [0.959, 0.194, 0.137], [0.041, 0.694, 0.637], [0.250, 0.920, 0.500], [0.960, 0.595, 0.176], [0.439, 0.120, 0.094], [0.750, 0.420, 0.000], [0.598, 0.889, 0.283], [0.541, 0.306, 0.637], [0.402, 0.111, 0.717], [0.902, 0.889, 0.717]],
  "delta_e_f_ev_per_atom": -0.594,
  "density_g_cm3": 3.90,
  "vol_a3_per_cell": 1067
}

=====

{
  "formula": "Ga2AsP",
  "functional": "r²SCAN",
  "state": "optimized geometry",
  "lattice": [[6.517, -1.965, 0.001], [6.517, 1.965, 0.001], [5.924, 0.000, 3.353]],
  "species": ["Ga", "P", "Ga", "As"],
  "frac_coords": [[0.502, 0.502, 0.502], [0.625, 0.625, 0.625], [0.998, 0.998, 0.998], [0.125, 0.125, 0.125]],
  "delta_e_f_ev_per_atom": -0.471,
  "density_g_cm3": 4.75,
  "vol_a3_per_cell": 86
}

=====

{
  "formula": "GaAsPd5",
  "functional": "r²SCAN",
  "state": "optimized geometry",
  "lattice": [[3.960, 0.000, 0.000], [0.000, 3.960, 0.000], [0.000, 0.000, 6.895]],
  "species": ["As", "Pd", "Pd", "Pd", "Pd", "Pd", "Ga"],
  "frac_coords": [[0.000, 0.000, 0.500], [0.000, 0.500, 0.279], [0.000, 0.500, 0.721], [0.000, 0.000, 0.000], [0.500, 0.000, 0.279], [0.500, 0.000, 0.721], [0.500, 0.500, 0.000]],
  "delta_e_f_ev_per_atom": -0.503,
  "density_g_cm3": 10.39,
  "vol_a3_per_cell": 108
}

=====

{
  "formula": "Sr14GaAs11",
  "functional": "r²SCAN",
  "state": "optimized geometry",
  "lattice": [[-2.128, -11.427, 11.207], [10.892, -8.761, -8.080], [12.949, -5.377, 8.007]],
  "species": ["Sr", "Sr", "As", "Sr", "Sr", "Sr", "Sr", "Sr", "As", "As", "Sr", "Sr", "As", "Sr", "Ga", "Sr", "Sr", "As", "As", "Sr", "Sr", "Sr", "Sr", "Sr", "As", "Sr", "As", "As", "As", "Sr", "Sr", "As", "As", "As", "As", "Sr", "Sr", "As", "As", "As", "Sr", "As", "Sr", "As", "Sr", "Ga", "Sr", "Sr", "Sr", "As", "Sr", "As", "As", "As", "Sr", "Ga", "Sr", "As", "As", "Sr", "As", "As", "Sr", "Sr", "As", "Sr", "As", "Sr", "As", "As", "Sr", "Sr", "Sr", "Sr", "Sr", "Sr", "Sr", "As", "Sr", "As", "Sr", "As", "Sr", "As", "As", "Sr", "As", "Sr", "As", "Sr", "As", "Sr", "Ga", "As", "Sr", "Sr", "Sr", "Sr", "As", "As", "Sr", "Sr", "As", "As"],
  "frac_coords": [[0.128, 0.092, 0.619], [0.059, 0.476, 0.775], [0.928, 0.585, 0.395], [0.979, 0.248, 0.588], [0.474, 0.875, 0.144], [0.624, 0.980, 0.401], [0.437, 0.665, 0.585], [0.092, 0.127, 0.119], [0.860, 0.110, 0.280], [0.520, 0.677, 0.895], [0.288, 0.408, 0.464], [0.254, 0.789, 0.619], [0.804, 0.683, 0.888], [0.870, 0.470, 0.648], [0.874, 0.625, 0.751], [0.753, 0.104, 0.650], [0.742, 0.219, 0.385], [0.308, 0.930, 0.886], [0.684, 0.806, 0.386], [0.882, 0.030, 0.100], [0.749, 0.024, 0.917], [0.164, 0.252, 0.769], [0.242, 0.627, 0.477], [0.754, 0.373, 0.535], [0.429, 0.817, 0.379], [0.218, 0.740, 0.885], [0.691, 0.807, 0.122], [0.995, 0.745, 0.009], [0.418, 0.072, 0.102], [0.253, 0.902, 0.351], [0.246, 0.396, 0.851], [0.262, 0.012, 0.477], [0.315, 0.194, 0.614], [0.110, 0.860, 0.780], [0.679, 0.522, 0.393], [0.619, 0.520, 0.856], [0.382, 0.482, 0.148], [0.585, 0.928, 0.893], [0.360, 0.640, 0.250], [0.070, 0.693, 0.616], [0.029, 0.882, 0.600], [0.184, 0.570, 0.122], [0.750, 0.835, 0.728], [0.495, 0.505, 0.750], [0.601, 0.750, 0.649], [0.624, 0.875, 0.251], [0.119, 0.975, 0.901], [0.518, 0.618, 0.353], [0.899, 0.250, 0.851], [0.326, 0.480, 0.602], [0.981, 0.625, 0.901], [0.692, 0.071, 0.114], [0.192, 0.306, 0.379], [0.511, 0.488, 0.250], [0.124, 0.525, 0.356], [0.124, 0.375, 0.251], [0.974, 0.119, 0.401], [0.304, 0.192, 0.879], [0.011, 0.261, 0.977], [0.664, 0.433, 0.088], [0.979, 0.083, 0.845], [0.745, 0.995, 0.509], [0.370, 0.018, 0.600], [0.559, 0.334, 0.417], [0.808, 0.694, 0.622], [0.101, 0.750, 0.149], [0.826, 0.428, 0.155], [0.399, 0.250, 0.351], [0.020, 0.915, 0.156], [0.815, 0.429, 0.879], [0.592, 0.711, 0.035], [0.018, 0.371, 0.100], [0.024, 0.746, 0.420], [0.834, 0.754, 0.222], [0.524, 0.945, 0.722], [0.250, 0.978, 0.085], [0.896, 0.873, 0.885], [0.572, 0.176, 0.345], [0.481, 0.381, 0.644], [0.479, 0.324, 0.104], [0.875, 0.897, 0.385], [0.428, 0.823, 0.656], [0.788, 0.253, 0.119], [0.929, 0.308, 0.388], [0.762, 0.239, 0.750], [0.718, 0.603, 0.522], [0.179, 0.572, 0.843], [0.375, 0.760, 0.022], [0.570, 0.186, 0.622], [0.937, 0.522, 0.228], [0.245, 0.755, 0.250], [0.249, 0.166, 0.275], [0.374, 0.125, 0.751], [0.610, 0.390, 0.750], [0.396, 0.281, 0.977], [0.479, 0.067, 0.269], [0.628, 0.247, 0.964], [0.334, 0.555, 0.920], [0.918, 0.020, 0.655], [0.191, 0.314, 0.116], [0.529, 0.129, 0.853], [0.746, 0.598, 0.150], [0.085, 0.978, 0.343], [0.072, 0.417, 0.604]],
  "delta_e_f_ev_per_atom": -1.306,
  "density_g_cm3": 4.62,
  "vol_a3_per_cell": 3049
}

=====

{
  "formula": "GdAs",
  "functional": "r²SCAN",
  "state": "optimized geometry",
  "lattice": [[-0.140, 0.367, 4.145], [-1.930, -2.899, 2.283], [2.220, -2.583, 2.395]],
  "species": ["Gd", "As"],
  "frac_coords": [[0.500, 0.500, 0.500], [0.000, 0.000, 0.000]],
  "delta_e_f_ev_per_atom": -1.745,
  "density_g_cm3": 7.55,
  "vol_a3_per_cell": 51
}

=====

{
  "formula": "Gd3As5O12",
  "functional": "r²SCAN",
  "state": "optimized geometry",
  "lattice": [[5.375, -7.435, -0.573], [-8.358, -2.479, 2.914], [-0.683, 3.932, -8.280]],
  "species": ["O", "O", "O", "Gd", "As", "As", "O", "Gd", "O", "O", "Gd", "O", "As", "Gd", "Gd", "O", "O", "O", "O", "As", "As", "O", "Gd", "O", "O", "O", "As", "As", "As", "O", "O", "O", "O", "O", "O", "O", "O", "As", "As", "O"],
  "frac_coords": [[0.189, 0.714, 0.189], [0.475, 0.286, 0.475], [0.518, 0.518, 0.817], [0.750, 0.500, 0.250], [0.000, 0.287, 0.287], [0.000, 0.500, 0.000], [0.811, 0.000, 0.525], [0.500, 0.750, 0.250], [0.482, 0.000, 0.298], [0.817, 0.518, 0.518], [0.250, 0.750, 0.500], [0.000, 0.482, 0.298], [0.500, 0.000, 0.000], [0.250, 0.500, 0.750], [0.750, 0.250, 0.500], [0.714, 0.189, 0.189], [0.811, 0.525, 0.000], [0.286, 0.475, 0.475], [0.183, 0.702, 0.702], [0.000, 0.000, 0.500], [0.000, 0.713, 0.713], [0.298, 0.482, 0.000], [0.500, 0.250, 0.750], [0.298, 0.000, 0.482], [0.482, 0.298, 0.000], [0.702, 0.183, 0.702], [0.287, 0.287, 0.000], [0.713, 0.000, 0.713], [0.287, 0.000, 0.287], [0.000, 0.298, 0.482], [0.189, 0.189, 0.714], [0.518, 0.817, 0.518], [0.000, 0.811, 0.525], [0.000, 0.525, 0.811], [0.702, 0.702, 0.183], [0.525, 0.000, 0.811], [0.475, 0.475, 0.286], [0.713, 0.713, 0.000], [0.500, 0.500, 0.500], [0.525, 0.811, 0.000]],
  "delta_e_f_ev_per_atom": -2.286,
  "density_g_cm3": 5.77,
  "vol_a3_per_cell": 598
}

=====

{
  "formula": "Sr3Ge2As4",
  "functional": "r²SCAN",
  "state": "optimized geometry",
  "lattice": [[18.623, 0.000, 0.000], [0.000, 7.503, 0.006], [0.000, 2.857, 7.120]],
  "species": ["As", "As", "Sr", "Ge", "As", "Sr", "As", "Sr", "Ge", "Ge", "Ge", "Sr", "As", "As", "As", "As", "As", "As", "Ge", "Sr", "As", "As", "Sr", "As", "Ge", "Ge", "As", "Sr", "Sr", "Sr", "Sr", "Sr", "As", "As", "Ge", "Sr"],
  "frac_coords": [[0.301, 0.777, 0.499], [0.439, 0.746, 0.009], [0.060, 0.497, 0.261], [0.871, 0.028, 0.787], [0.801, 0.723, 0.501], [0.315, 0.012, 0.782], [0.686, 0.720, 0.957], [0.062, 0.011, 0.745], [0.740, 0.415, 0.686], [0.240, 0.085, 0.314], [0.760, 0.915, 0.686], [0.940, 0.503, 0.739], [0.314, 0.280, 0.043], [0.561, 0.254, 0.991], [0.699, 0.223, 0.501], [0.186, 0.780, 0.043], [0.199, 0.277, 0.499], [0.061, 0.246, 0.009], [0.629, 0.528, 0.787], [0.938, 0.989, 0.255], [0.939, 0.754, 0.991], [0.568, 0.740, 0.505], [0.562, 0.489, 0.255], [0.432, 0.260, 0.495], [0.260, 0.585, 0.314], [0.371, 0.472, 0.213], [0.814, 0.220, 0.957], [0.815, 0.488, 0.218], [0.185, 0.512, 0.782], [0.685, 0.988, 0.218], [0.560, 0.003, 0.739], [0.438, 0.511, 0.745], [0.932, 0.240, 0.505], [0.068, 0.760, 0.495], [0.129, 0.972, 0.213], [0.440, 0.997, 0.261]],
  "delta_e_f_ev_per_atom": -0.945,
  "density_g_cm3": 4.73,
  "vol_a3_per_cell": 994
}

=====

{
  "formula": "Sr4GeAs4",
  "functional": "r²SCAN",
  "state": "optimized geometry",
  "lattice": [[12.854, 0.000, 0.000], [0.000, 12.854, 0.000], [0.000, 0.000, 12.854]],
  "species": ["As", "As", "Sr", "Sr", "Sr", "As", "As", "Sr", "As", "Sr", "Ge", "Sr", "As", "As", "As", "As", "Sr", "Sr", "Sr", "Sr", "Sr", "Sr", "As", "As", "Sr", "As", "As", "As", "Sr", "Sr", "As", "Sr", "Sr", "Sr", "Sr", "Sr", "As", "As", "As", "Sr", "Ge", "As", "Ge", "As", "As", "As", "Ge", "As", "Sr", "As", "Sr", "Sr", "Sr", "Sr", "Sr", "As", "Ge", "As", "Sr", "As", "Ge", "Ge", "As", "Sr", "As", "Ge", "As", "As", "Sr", "Sr", "As", "Sr"],
  "frac_coords": [[0.890, 0.890, 0.890], [0.646, 0.892, 0.619], [0.357, 0.357, 0.643], [0.643, 0.902, 0.869], [0.857, 0.143, 0.857], [0.881, 0.608, 0.146], [0.354, 0.892, 0.381], [0.369, 0.402, 0.143], [0.119, 0.392, 0.146], [0.869, 0.357, 0.098], [0.000, 0.500, 0.750], [0.143, 0.631, 0.598], [0.619, 0.646, 0.892], [0.610, 0.390, 0.610], [0.110, 0.110, 0.890], [0.381, 0.646, 0.108], [0.143, 0.369, 0.402], [0.357, 0.902, 0.131], [0.598, 0.857, 0.369], [0.902, 0.131, 0.357], [0.369, 0.598, 0.857], [0.643, 0.098, 0.131], [0.392, 0.854, 0.881], [0.119, 0.608, 0.854], [0.402, 0.143, 0.369], [0.890, 0.110, 0.110], [0.390, 0.390, 0.390], [0.354, 0.108, 0.619], [0.598, 0.143, 0.631], [0.098, 0.131, 0.643], [0.854, 0.881, 0.392], [0.857, 0.369, 0.598], [0.643, 0.357, 0.357], [0.357, 0.098, 0.869], [0.143, 0.857, 0.857], [0.131, 0.643, 0.098], [0.608, 0.146, 0.881], [0.646, 0.108, 0.381], [0.390, 0.610, 0.610], [0.643, 0.643, 0.643], [0.000, 0.000, 0.000], [0.146, 0.119, 0.392], [0.500, 0.250, 0.000], [0.110, 0.890, 0.110], [0.619, 0.354, 0.108], [0.608, 0.854, 0.119], [0.750, 0.000, 0.500], [0.381, 0.354, 0.892], [0.402, 0.857, 0.631], [0.892, 0.619, 0.646], [0.631, 0.598, 0.143], [0.902, 0.869, 0.643], [0.857, 0.857, 0.143], [0.869, 0.643, 0.902], [0.131, 0.357, 0.902], [0.892, 0.381, 0.354], [0.000, 0.500, 0.250], [0.392, 0.146, 0.119], [0.631, 0.402, 0.857], [0.108, 0.381, 0.646], [0.500, 0.750, 0.000], [0.250, 0.000, 0.500], [0.881, 0.392, 0.854], [0.857, 0.631, 0.402], [0.146, 0.881, 0.608], [0.500, 0.500, 0.500], [0.854, 0.119, 0.608], [0.108, 0.619, 0.354], [0.357, 0.643, 0.357], [0.098, 0.869, 0.357], [0.610, 0.610, 0.390], [0.143, 0.143, 0.143]],
  "delta_e_f_ev_per_atom": -1.167,
  "density_g_cm3": 4.52,
  "vol_a3_per_cell": 2124
}

=====

| no. | uncorrected energy (eV/atom) |
| --- | --- |
| 1 | -11.716 |
| 2 | -12.120 |
| 3 | -20.639 |
| 4 | -16.124 |
| 5 | -30.797 |
| 6 | -16.056 |
| 7 | -15.613 |
| 8 | -15.976 |